Here is a relaxed structure of RbC from Materials Project. Energies are from PBE.

Results
DFT total energy	-4.7863	eV per atom
energy of formation	0.318	eV/atom
M_tot	0.0	Bohr magnetons per cell

a = 9.475 Å, b = 4.801 Å, c = 9.855 Å
α = 90.00°, β = 90.00°, γ = 90.00°
Space group Pnma (No. 62)
One atom of each set of equivalent atoms:
Rb (0.013, 0.250, 0.169)
Rb (0.161, 0.250, 0.572)
C (0.169, 0.750, 0.353)
C (0.211, 0.250, 0.909)